{"formula": "SrLaVO4", "functional": "GGA+U", "state": "relaxed", "e_form_mev_per_atom": -3215, "volume_a3_per_atom": 14.00, "total_energy_ev_per_atom": -7.65, "magnetic_moment_mub_per_fu": 0.0, "lattice": [[-3.904, 3.904, 0.002], [-3.928, -3.928, 0.002], [-0.006, 0.000, 12.781]], "species": ["Sr", "Sr", "Sr", "Sr", "La", "La", "La", "La", "V", "V", "V", "V", "O", "O", "O", "O", "O", "O", "O", "O", "O", "O", "O", "O", "O", "O", "O", "O"], "frac_coords": [[0.500, 0.500, 0.646], [0.000, 0.000, 0.354], [0.500, 0.000, 0.854], [0.000, 0.500, 0.146], [0.500, 0.500, 0.358], [0.500, 0.000, 0.142], [0.000, 0.499, 0.858], [0.000, 0.000, 0.642], [0.500, 0.500, 0.999], [0.000, 0.500, 0.499], [0.000, 0.000, 0.001], [0.500, 0.000, 0.501], [0.500, 0.000, 0.665], [0.500, 0.500, 0.835], [0.500, 0.500, 0.177], [0.000, 0.000, 0.824], [0.750, 0.750, 0.500], [0.000, 0.500, 0.676], [0.500, 0.000, 0.324], [0.000, 0.500, 0.335], [0.250, 0.750, 0.500], [0.250, 0.250, 0.500], [0.750, 0.750, 0.000], [0.250, 0.250, 0.000], [0.750, 0.250, 0.500], [0.000, 0.000, 0.165], [0.750, 0.250, 0.000], [0.250, 0.750, 0.000]]}

{"formula": "LiMnF4", "functional": "GGA+U", "state": "relaxed", "e_form_mev_per_atom": -2932, "volume_a3_per_atom": 11.86, "total_energy_ev_per_atom": -5.47, "magnetic_moment_mub_per_fu": 4.0, "lattice": [[-6.886, 6.886, 3.002], [6.886, -6.886, 3.002], [6.886, 6.886, -3.002]], "species": ["F", "F", "F", "F", "F", "F", "F", "F", "F", "F", "F", "F", "F", "F", "F", "F", "F", "F", "F", "F", "F", "F", "F", "F", "F", "F", "F", "F", "F", "F", "F", "F", "Mn", "Mn", "Mn", "Mn", "Mn", "Mn", "Mn", "Mn", "Li", "Li", "Li", "Li", "Li", "Li", "Li", "Li"], "frac_coords": [[0.429, 0.778, 0.416], [0.222, 0.638, 0.651], [0.176, 0.524, 0.909], [0.987, 0.571, 0.349], [0.172, 0.011, 0.398], [0.637, 0.976, 0.898], [0.730, 0.636, 0.163], [0.888, 0.737, 0.916], [0.817, 0.480, 0.595], [0.226, 0.828, 0.839], [0.263, 0.179, 0.151], [0.362, 0.013, 0.584], [0.778, 0.183, 0.663], [0.615, 0.267, 0.091], [0.613, 0.774, 0.602], [0.733, 0.824, 0.348], [0.364, 0.528, 0.095], [0.517, 0.926, 0.152], [0.476, 0.385, 0.652], [0.821, 0.972, 0.084], [0.261, 0.363, 0.339], [0.472, 0.567, 0.837], [0.886, 0.222, 0.405], [0.989, 0.387, 0.161], [0.028, 0.112, 0.849], [0.433, 0.270, 0.905], [0.774, 0.365, 0.848], [0.078, 0.739, 0.102], [0.520, 0.114, 0.337], [0.024, 0.922, 0.661], [0.635, 0.483, 0.409], [0.074, 0.226, 0.591], [0.490, 0.241, 0.495], [0.245, 0.240, 0.749], [0.760, 0.509, 0.005], [0.759, 0.254, 0.249], [0.746, 0.995, 0.505], [0.491, 0.496, 0.251], [0.005, 0.510, 0.751], [0.504, 0.755, 0.995], [0.493, 0.996, 0.746], [0.253, 0.507, 0.503], [0.997, 0.243, 0.997], [0.000, 0.003, 0.246], [0.004, 0.750, 0.497], [0.757, 0.754, 0.754], [0.250, 0.747, 0.254], [0.246, 0.000, 0.003]]}

{"formula": "LiTiFeO4", "functional": "GGA+U", "state": "relaxed", "e_form_mev_per_atom": -2595, "volume_a3_per_atom": 11.12, "total_energy_ev_per_atom": -7.32, "magnetic_moment_mub_per_fu": 5.0, "lattice": [[-2.874, 0.705, 0.487], [-2.638, -5.147, -8.112], [-1.119, -8.575, 5.805]], "species": ["Li", "Li", "Li", "Li", "O", "O", "O", "O", "O", "O", "O", "O", "O", "O", "O", "O", "O", "O", "O", "O", "Ti", "Ti", "Ti", "Ti", "Fe", "Fe", "Fe", "Fe"], "frac_coords": [[0.250, 0.128, 0.125], [0.250, 0.628, 0.375], [0.750, 0.872, 0.875], [0.750, 0.372, 0.625], [0.750, 0.397, 0.959], [0.750, 0.897, 0.541], [0.250, 0.840, 0.748], [0.750, 0.346, 0.441], [0.250, 0.603, 0.041], [0.250, 0.103, 0.459], [0.250, 0.654, 0.559], [0.750, 0.846, 0.059], [0.250, 0.154, 0.941], [0.250, 0.340, 0.752], [0.750, 0.603, 0.785], [0.250, 0.397, 0.215], [0.750, 0.660, 0.248], [0.750, 0.103, 0.715], [0.250, 0.897, 0.285], [0.750, 0.160, 0.252], [0.750, 0.229, 0.854], [0.750, 0.729, 0.646], [0.250, 0.771, 0.146], [0.250, 0.271, 0.354], [0.750, 0.994, 0.369], [0.750, 0.494, 0.131], [0.250, 0.006, 0.631], [0.250, 0.506, 0.869]]}

{"formula": "BiSbWO6", "functional": "GGA+U", "state": "relaxed", "e_form_mev_per_atom": -1945, "volume_a3_per_atom": 14.24, "total_energy_ev_per_atom": -6.62, "lattice": [[0.495, -5.231, -7.307], [5.499, -3.136, -6.397], [1.244, -4.307, 3.078]], "species": ["O", "O", "O", "O", "O", "O", "O", "O", "O", "O", "O", "O", "Sb", "Sb", "Bi", "Bi", "W", "W"], "frac_coords": [[0.467, 0.319, 0.410], [0.777, 0.179, 0.753], [0.325, 0.720, 0.248], [0.959, 0.825, 0.098], [0.821, 0.223, 0.247], [0.492, 0.001, 0.711], [0.999, 0.508, 0.289], [0.280, 0.675, 0.752], [0.998, 0.487, 0.781], [0.175, 0.041, 0.902], [0.513, 0.002, 0.219], [0.681, 0.533, 0.590], [0.133, 0.222, 0.544], [0.778, 0.867, 0.456], [0.628, 0.714, 0.972], [0.286, 0.372, 0.028], [0.527, 0.473, 0.500], [0.026, 0.974, 0.000]]}

{"formula": "Ca2MnAlO5", "functional": "GGA+U", "state": "relaxed", "e_form_mev_per_atom": -2928, "volume_a3_per_atom": 12.42, "total_energy_ev_per_atom": -6.99, "magnetic_moment_mub_per_fu": 4.0, "lattice": [[7.686, 0.000, 0.012], [0.000, 7.581, 0.000], [0.012, 0.000, 7.671]], "species": ["O", "O", "O", "O", "O", "O", "O", "O", "O", "O", "O", "O", "O", "O", "O", "O", "O", "O", "O", "O", "Mn", "Mn", "Mn", "Mn", "Al", "Al", "Al", "Al", "Ca", "Ca", "Ca", "Ca", "Ca", "Ca", "Ca", "Ca"], "frac_coords": [[0.268, 0.500, 0.991], [0.494, 0.751, 0.509], [0.015, 0.500, 0.721], [0.063, 0.790, 0.013], [0.995, 0.500, 0.226], [0.015, 0.798, 0.424], [0.015, 0.202, 0.424], [0.737, 0.500, 0.461], [0.763, 0.500, 0.977], [0.273, 0.500, 0.441], [0.072, 0.000, 0.731], [0.751, 0.000, 0.586], [0.403, 0.000, 0.264], [0.515, 0.266, 0.045], [0.504, 0.500, 0.745], [0.063, 0.210, 0.013], [0.515, 0.734, 0.045], [0.441, 0.000, 0.787], [0.774, 0.000, 0.025], [0.494, 0.249, 0.509], [0.504, 0.000, 0.029], [0.009, 0.500, 0.472], [0.020, 0.500, 0.977], [0.509, 0.000, 0.496], [0.992, 0.000, 0.951], [0.973, 0.000, 0.524], [0.509, 0.500, 0.977], [0.500, 0.500, 0.510], [0.260, 0.744, 0.757], [0.725, 0.730, 0.729], [0.794, 0.733, 0.211], [0.725, 0.270, 0.729], [0.253, 0.267, 0.241], [0.260, 0.256, 0.757], [0.253, 0.733, 0.241], [0.794, 0.267, 0.211]]}

{"formula": "Rb3CrO8", "functional": "GGA+U", "state": "relaxed", "e_form_mev_per_atom": -1124, "volume_a3_per_atom": 16.82, "total_energy_ev_per_atom": -5.20, "magnetic_moment_mub_per_fu": 1.0, "lattice": [[-3.559, 3.559, 3.983], [3.559, -3.559, 3.983], [3.559, 3.559, -3.983]], "species": ["O", "O", "O", "O", "O", "O", "O", "O", "Rb", "Rb", "Rb", "Cr"], "frac_coords": [[0.785, 0.183, 0.000], [0.955, 0.695, 0.000], [0.215, 0.215, 0.398], [0.695, 0.955, 0.000], [0.305, 0.305, 0.260], [0.183, 0.785, 0.000], [0.045, 0.045, 0.740], [0.817, 0.817, 0.602], [0.250, 0.750, 0.500], [0.750, 0.250, 0.500], [0.500, 0.500, 0.000], [0.000, 0.000, 0.000]]}